An optimized crystal structure of Nd6Ge3Se14, computed with meta-GGA r2SCAN.

Values from the calculation:
V ... 599.56 Å³ per cell
Magnetic moment ... 0.00 μB/f.u.
Raw total energy ... -454.176 eV per cell
ΔE_f ... -149.7 kJ/mol of atoms

abc: 10.668 10.668 6.083
angles: 90.00 90.00 120.00
Atoms (fractional coordinates):
Nd: 0.025 0.462 0.000
Nd: 0.310 0.205 0.494
Nd: 0.437 0.975 0.000
Nd: 0.538 0.563 0.000
Nd: 0.795 0.105 0.494
Nd: 0.895 0.690 0.494
Ge: 0.000 0.000 0.077
Ge: 0.333 0.667 0.586
Ge: 0.667 0.333 0.732
Se: 0.000 0.000 0.696
Se: 0.083 0.232 0.236
Se: 0.149 0.917 0.236
Se: 0.184 0.749 0.742
Se: 0.251 0.434 0.742
Se: 0.333 0.667 0.203
Se: 0.412 0.240 0.971
Se: 0.501 0.076 0.481
Se: 0.566 0.816 0.742
Se: 0.575 0.499 0.481
Se: 0.760 0.172 0.971
Se: 0.768 0.851 0.236
Se: 0.828 0.588 0.971
Se: 0.924 0.425 0.481

=====

An optimized crystal structure of Bi10Mo3O24, computed with meta-GGA r2SCAN.

Values from the calculation:
V ... 578.32 Å³ per cell
Magnetic moment ... 0.00 μB/f.u.
Raw total energy ... -868.066 eV per cell
ΔE_f ... -160.3 kJ/mol of atoms

abc: 12.162 12.162 8.698
angles: 95.47 95.47 26.85
Atoms (fractional coordinates):
Bi: 0.037 0.037 0.323
Bi: 0.270 0.117 0.546
Bi: 0.285 0.238 0.185
Bi: 0.368 0.335 0.751
Bi: 0.425 0.424 0.408
Bi: 0.576 0.575 0.592
Bi: 0.665 0.632 0.249
Bi: 0.762 0.715 0.815
Bi: 0.883 0.730 0.454
Bi: 0.963 0.963 0.677
Mo: 0.168 0.083 0.926
Mo: 0.486 0.514 0.000
Mo: 0.917 0.832 0.074
O: 0.031 0.522 0.652
O: 0.034 0.314 0.834
O: 0.040 0.812 0.230
O: 0.110 0.547 0.009
O: 0.138 0.644 0.579
O: 0.188 0.960 0.770
O: 0.245 0.636 0.942
O: 0.250 0.402 0.354
O: 0.273 0.727 0.500
O: 0.356 0.862 0.421
O: 0.364 0.755 0.058
O: 0.453 0.890 0.991
O: 0.478 0.969 0.348
O: 0.514 0.038 0.685
O: 0.598 0.750 0.646
O: 0.632 0.159 0.592
O: 0.644 0.331 0.163
O: 0.669 0.356 0.837
O: 0.686 0.966 0.166
O: 0.756 0.029 0.918
O: 0.788 0.212 0.500
O: 0.841 0.368 0.408
O: 0.962 0.486 0.315
O: 0.971 0.244 0.082

=====

An optimized crystal structure of LiRhF6, computed with meta-GGA r2SCAN.

Values from the calculation:
V ... 93.46 Å³ per cell
Magnetic moment ... 2.00 μB/f.u.
Raw total energy ... -61.148 eV per cell
ΔE_f ... -191.4 kJ/mol of atoms

abc: 5.308 5.308 5.308
angles: 55.01 55.01 55.01
Atoms (fractional coordinates):
Li: 0.000 0.000 0.000
Rh: 0.500 0.500 0.500
F: 0.120 0.741 0.397
F: 0.259 0.603 0.880
F: 0.397 0.120 0.741
F: 0.603 0.880 0.259
F: 0.741 0.397 0.120
F: 0.880 0.259 0.603

=====

An optimized crystal structure of SmAsSe, computed with meta-GGA r2SCAN.

Values from the calculation:
V ... 283.71 Å³ per cell
Magnetic moment ... 0.00 μB/f.u.
Raw total energy ... -255.291 eV per cell
ΔE_f ... -163.1 kJ/mol of atoms

abc: 17.844 3.956 4.019
angles: 90.00 90.00 90.00
Atoms (fractional coordinates):
Sm: 0.140 0.250 0.230
Sm: 0.360 0.750 0.730
Sm: 0.640 0.250 0.270
Sm: 0.860 0.750 0.770
As: 0.002 0.250 0.702
As: 0.498 0.750 0.202
As: 0.502 0.250 0.798
As: 0.998 0.750 0.298
Se: 0.187 0.750 0.732
Se: 0.313 0.250 0.232
Se: 0.687 0.750 0.768
Se: 0.813 0.250 0.268

=====

An optimized crystal structure of HfSiO4, computed with meta-GGA r2SCAN.

Values from the calculation:
V ... 128.08 Å³ per cell
Magnetic moment ... 0.00 μB/f.u.
Raw total energy ... -197.720 eV per cell
ΔE_f ... -338.4 kJ/mol of atoms

abc: 5.511 5.511 5.511
angles: 107.03 107.03 114.47
Atoms (fractional coordinates):
Hf: 0.375 0.625 0.750
Hf: 0.625 0.375 0.250
Si: 0.125 0.875 0.250
Si: 0.875 0.125 0.750
O: 0.129 0.694 0.435
O: 0.241 0.306 0.935
O: 0.306 0.241 0.435
O: 0.306 0.871 0.065
O: 0.694 0.129 0.935
O: 0.694 0.759 0.565
O: 0.759 0.694 0.065
O: 0.871 0.306 0.565

=====

An optimized crystal structure of PrMgRh, computed with meta-GGA r2SCAN.

Values from the calculation:
V ... 264.87 Å³ per cell
Magnetic moment ... 0.00 μB/f.u.
Raw total energy ... -237.903 eV per cell
ΔE_f ... -56.8 kJ/mol of atoms

abc: 7.274 4.165 8.742
angles: 90.00 90.00 90.00
Atoms (fractional coordinates):
Pr: 0.038 0.250 0.179
Pr: 0.462 0.750 0.679
Pr: 0.538 0.250 0.321
Pr: 0.962 0.750 0.821
Mg: 0.133 0.250 0.556
Mg: 0.367 0.750 0.056
Mg: 0.633 0.250 0.944
Mg: 0.867 0.750 0.444
Rh: 0.247 0.750 0.374
Rh: 0.253 0.250 0.874
Rh: 0.747 0.750 0.126
Rh: 0.753 0.250 0.626

=====

An optimized crystal structure of TlPd3, computed with meta-GGA r2SCAN.

Values from the calculation:
V ... 132.88 Å³ per cell
Magnetic moment ... 0.00 μB/f.u.
Raw total energy ... -246.018 eV per cell
ΔE_f ... -22.9 kJ/mol of atoms

abc: 8.270 8.270 8.270
angles: 150.97 150.97 41.52
Atoms (fractional coordinates):
Tl: 0.125 0.125 0.000
Tl: 0.875 0.875 0.000
Pd: 0.000 0.500 0.500
Pd: 0.250 0.750 0.500
Pd: 0.374 0.374 0.000
Pd: 0.500 0.000 0.500
Pd: 0.626 0.626 0.000
Pd: 0.750 0.250 0.500

=====

An optimized crystal structure of AcTlRh2, computed with meta-GGA r2SCAN.

Values from the calculation:
V ... 85.02 Å³ per cell
Magnetic moment ... 0.00 μB/f.u.
Raw total energy ... -171.471 eV per cell
ΔE_f ... -33.3 kJ/mol of atoms

abc: 4.936 4.936 4.936
angles: 60.00 60.00 60.00
Atoms (fractional coordinates):
Ac: 0.000 0.000 0.000
Tl: 0.500 0.500 0.500
Rh: 0.250 0.250 0.250
Rh: 0.750 0.750 0.750

=====

An optimized crystal structure of LaYbPt2, computed with meta-GGA r2SCAN.

Values from the calculation:
V ... 88.99 Å³ per cell
Magnetic moment ... 0.00 μB/f.u.
Raw total energy ... -174.116 eV per cell
ΔE_f ... -117.4 kJ/mol of atoms

abc: 5.011 5.011 5.011
angles: 60.00 60.00 60.00
Atoms (fractional coordinates):
La: 0.000 0.000 0.000
Yb: 0.500 0.500 0.500
Pt: 0.250 0.250 0.250
Pt: 0.750 0.750 0.750

=====

An optimized crystal structure of Cs5GeAs3, computed with meta-GGA r2SCAN.

Values from the calculation:
V ... 1444.57 Å³ per cell
Magnetic moment ... 0.00 μB/f.u.
Raw total energy ... -753.957 eV per cell
ΔE_f ... -53.1 kJ/mol of atoms

abc: 14.743 6.065 16.157
angles: 90.00 90.00 90.00
Atoms (fractional coordinates):
Cs: 0.051 0.250 0.154
Cs: 0.065 0.250 0.450
Cs: 0.120 0.250 0.686
Cs: 0.146 0.750 0.047
Cs: 0.222 0.750 0.793
Cs: 0.278 0.250 0.293
Cs: 0.354 0.250 0.547
Cs: 0.380 0.750 0.186
Cs: 0.435 0.750 0.950
Cs: 0.449 0.750 0.654
Cs: 0.551 0.250 0.346
Cs: 0.565 0.250 0.050
Cs: 0.620 0.250 0.814
Cs: 0.646 0.750 0.453
Cs: 0.722 0.750 0.707
Cs: 0.778 0.250 0.207
Cs: 0.854 0.250 0.953
Cs: 0.880 0.750 0.314
Cs: 0.935 0.750 0.550
Cs: 0.949 0.750 0.846
Ge: 0.239 0.750 0.432
Ge: 0.261 0.250 0.932
Ge: 0.739 0.750 0.068
Ge: 0.761 0.250 0.568
As: 0.101 0.250 0.911
As: 0.134 0.750 0.320
As: 0.190 0.750 0.571
As: 0.310 0.250 0.071
As: 0.366 0.250 0.820
As: 0.399 0.750 0.411
As: 0.601 0.250 0.589
As: 0.634 0.750 0.180
As: 0.690 0.750 0.929
As: 0.810 0.250 0.429
As: 0.866 0.250 0.680
As: 0.899 0.750 0.089

=====

An optimized crystal structure of K2HgAuBr6, computed with meta-GGA r2SCAN.

Values from the calculation:
V ... 324.66 Å³ per cell
Magnetic moment ... 0.00 μB/f.u.
Raw total energy ... -201.113 eV per cell
ΔE_f ... -92.3 kJ/mol of atoms

abc: 7.715 7.715 7.715
angles: 60.00 60.00 60.00
Atoms (fractional coordinates):
K: 0.250 0.250 0.250
K: 0.750 0.750 0.750
Hg: 0.000 0.000 0.000
Au: 0.500 0.500 0.500
Br: 0.255 0.255 0.745
Br: 0.255 0.745 0.255
Br: 0.255 0.745 0.745
Br: 0.745 0.255 0.255
Br: 0.745 0.255 0.745
Br: 0.745 0.745 0.255

=====

An optimized crystal structure of Yb2Fe4Si9, computed with meta-GGA r2SCAN.

Values from the calculation:
V ... 207.07 Å³ per cell
Magnetic moment ... 0.00 μB/f.u.
Raw total energy ... -212.469 eV per cell
ΔE_f ... -18.0 kJ/mol of atoms

abc: 3.887 3.887 15.825
angles: 90.00 90.00 120.00
Atoms (fractional coordinates):
Yb: 0.333 0.667 0.241
Yb: 0.667 0.333 0.759
Fe: 0.333 0.667 0.590
Fe: 0.333 0.667 0.898
Fe: 0.667 0.333 0.102
Fe: 0.667 0.333 0.410
Si: 0.000 0.000 0.128
Si: 0.000 0.000 0.349
Si: 0.000 0.000 0.500
Si: 0.000 0.000 0.651
Si: 0.000 0.000 0.872
Si: 0.333 0.667 0.043
Si: 0.333 0.667 0.435
Si: 0.667 0.333 0.565
Si: 0.667 0.333 0.957

=====

An optimized crystal structure of Dy2Pd2Pb, computed with meta-GGA r2SCAN.

Values from the calculation:
V ... 222.53 Å³ per cell
Magnetic moment ... 0.00 μB/f.u.
Raw total energy ... -341.542 eV per cell
ΔE_f ... -88.8 kJ/mol of atoms

abc: 7.821 7.821 3.638
angles: 90.00 90.00 90.00
Atoms (fractional coordinates):
Dy: 0.172 0.328 0.000
Dy: 0.328 0.828 0.000
Dy: 0.672 0.172 0.000
Dy: 0.828 0.672 0.000
Pd: 0.125 0.625 0.500
Pd: 0.375 0.125 0.500
Pd: 0.625 0.875 0.500
Pd: 0.875 0.375 0.500
Pb: 0.000 0.000 0.500
Pb: 0.500 0.500 0.500

=====

An optimized crystal structure of BF3, computed with meta-GGA r2SCAN.

Values from the calculation:
V ... 413.91 Å³ per cell
Magnetic moment ... 0.00 μB/f.u.
Raw total energy ... -227.481 eV per cell
ΔE_f ... -282.5 kJ/mol of atoms

abc: 4.546 7.112 13.497
angles: 86.26 88.79 71.91
Atoms (fractional coordinates):
B: 0.012 0.228 0.115
B: 0.018 0.723 0.384
B: 0.357 0.763 0.635
B: 0.362 0.261 0.865
B: 0.638 0.739 0.135
B: 0.643 0.237 0.365
B: 0.982 0.277 0.616
B: 0.988 0.772 0.885
F: 0.039 0.904 0.365
F: 0.044 0.407 0.118
F: 0.227 0.303 0.571
F: 0.234 0.072 0.153
F: 0.237 0.794 0.923
F: 0.243 0.238 0.780
F: 0.243 0.724 0.552
F: 0.248 0.569 0.357
F: 0.250 0.712 0.721
F: 0.262 0.194 0.949
F: 0.421 0.652 0.134
F: 0.426 0.150 0.368
F: 0.574 0.850 0.632
F: 0.579 0.348 0.866
F: 0.738 0.806 0.051
F: 0.750 0.288 0.279
F: 0.752 0.431 0.643
F: 0.757 0.276 0.448
F: 0.757 0.762 0.220
F: 0.763 0.206 0.077
F: 0.766 0.928 0.847
F: 0.773 0.697 0.429
F: 0.956 0.593 0.882
F: 0.961 0.096 0.635

=====

An optimized crystal structure of Mg3Ga, computed with meta-GGA r2SCAN.

Values from the calculation:
V ... 79.77 Å³ per cell
Magnetic moment ... 0.00 μB/f.u.
Raw total energy ... -24.197 eV per cell
ΔE_f ... -5.9 kJ/mol of atoms

abc: 4.305 4.305 4.305
angles: 90.00 90.00 90.00
Atoms (fractional coordinates):
Mg: 0.000 0.000 0.500
Mg: 0.000 0.500 0.000
Mg: 0.500 0.000 0.000
Ga: 0.500 0.500 0.500

=====

An optimized crystal structure of UB4W, computed with meta-GGA r2SCAN.

Values from the calculation:
V ... 127.06 Å³ per cell
Magnetic moment ... 1.84 μB/f.u.
Raw total energy ... -327.894 eV per cell
ΔE_f ... -52.3 kJ/mol of atoms

abc: 5.980 5.980 3.662
angles: 90.00 90.00 104.01
Atoms (fractional coordinates):
U: 0.200 0.800 0.000
U: 0.800 0.200 0.000
B: 0.117 0.434 0.500
B: 0.121 0.121 0.500
B: 0.407 0.593 0.500
B: 0.434 0.117 0.500
B: 0.566 0.883 0.500
B: 0.593 0.407 0.500
B: 0.879 0.879 0.500
B: 0.883 0.566 0.500
W: 0.321 0.321 0.000
W: 0.679 0.679 0.000

=====

An optimized crystal structure of K3CoO2, computed with meta-GGA r2SCAN.

Values from the calculation:
V ... 512.14 Å³ per cell
Magnetic moment ... 2.00 μB/f.u.
Raw total energy ... -202.372 eV per cell
ΔE_f ... -118.3 kJ/mol of atoms

abc: 11.831 7.268 5.955
angles: 90.00 90.00 90.00
Atoms (fractional coordinates):
K: 0.095 0.250 0.217
K: 0.139 0.000 0.666
K: 0.139 0.500 0.666
K: 0.361 0.000 0.166
K: 0.361 0.500 0.166
K: 0.405 0.750 0.717
K: 0.595 0.250 0.283
K: 0.639 0.000 0.834
K: 0.639 0.500 0.834
K: 0.861 0.000 0.334
K: 0.861 0.500 0.334
K: 0.905 0.750 0.783
Co: 0.118 0.750 0.179
Co: 0.382 0.250 0.679
Co: 0.618 0.750 0.321
Co: 0.882 0.250 0.821
O: 0.026 0.750 0.408
O: 0.217 0.750 0.960
O: 0.283 0.250 0.460
O: 0.474 0.250 0.908
O: 0.526 0.750 0.092
O: 0.717 0.750 0.540
O: 0.783 0.250 0.040
O: 0.974 0.250 0.592

=====

An optimized crystal structure of Pr2CdAg, computed with meta-GGA r2SCAN.

Values from the calculation:
V ... 111.65 Å³ per cell
Magnetic moment ... 0.58 μB/f.u.
Raw total energy ... -101.428 eV per cell
ΔE_f ... -28.0 kJ/mol of atoms

abc: 5.405 5.405 5.405
angles: 60.00 60.00 60.00
Atoms (fractional coordinates):
Pr: 0.250 0.250 0.250
Pr: 0.750 0.750 0.750
Cd: 0.000 0.000 0.000
Ag: 0.500 0.500 0.500